Record 1
First-principles (GGA+U) data for a relaxed structure of Fe3OF5, as listed in the Materials Project database.

Volume   12.18 A^3/atom
Relative energy among the computed polymorphs   26 meV/atom
Theoretical density   4.2 g cm⁻³

The structure in CIF format:
```
data_Fe3OF5
_cell_length_a 5.763
_cell_length_b 5.770
_cell_length_c 7.426
_cell_angle_alpha 73.24
_cell_angle_beta 73.86
_cell_angle_gamma 71.24
_symmetry_space_group_name_H-M 'P 1'
_symmetry_Int_Tables_number 1
loop_
_symmetry_equiv_pos_as_xyz
'x,y,z'
loop_
_atom_site_label
_atom_site_fract_x
_atom_site_fract_y
_atom_site_fract_z
Fe1 0.000 0.000 0.000
Fe2 0.016 0.032 0.494
Fe3 0.329 0.346 0.175
Fe4 0.357 0.354 0.664
Fe5 0.693 0.682 0.844
Fe6 0.718 0.663 0.314
O1 0.006 0.384 0.324
O2 0.777 0.765 0.055
F1 0.057 0.652 0.663
F2 0.127 0.111 0.702
F3 0.252 0.235 0.971
F4 0.313 0.691 0.003
F5 0.408 0.983 0.326
F6 0.471 0.451 0.352
F7 0.608 0.590 0.609
F8 0.654 0.053 0.667
F9 0.691 0.305 0.009
F10 0.919 0.902 0.307
```

***

Record 2
First-principles (GGA+U) data for a relaxed structure of MgMn3CuO8, as listed in the Materials Project database.

Volume   11.39 A^3/atom
Relative energy among the computed polymorphs   13 meV/atom
Theoretical density   4.3 g cm⁻³

The structure in CIF format:
```
data_MgMn3CuO8
_cell_length_a 10.424
_cell_length_b 5.827
_cell_length_c 5.787
_cell_angle_alpha 90.00
_cell_angle_beta 122.57
_cell_angle_gamma 90.00
_symmetry_space_group_name_H-M 'C 1 2/m 1'
_symmetry_Int_Tables_number 12
loop_
_symmetry_equiv_pos_as_xyz
'x,y,z'
'-x,-y,-z'
'-x,y,-z'
'x,-y,z'
'x+1/2,y+1/2,z'
'-x+1/2,-y+1/2,-z'
'-x+1/2,y+1/2,-z'
'x+1/2,-y+1/2,z'
loop_
_atom_site_label
_atom_site_fract_x
_atom_site_fract_y
_atom_site_fract_z
Mg1 0.000 0.000 0.000
Mn1 0.000 0.500 0.500
Mn2 0.250 0.250 0.000
Cu1 0.000 0.500 0.000
O1 0.029 0.268 0.775
O2 0.233 0.500 0.203
O3 0.236 0.000 0.204
```

***

Number 1: energy relative to the elements -2.364 eV per atom, DFT total energy -5.716 eV per atom. Number 2: energy relative to the elements -1.818 eV per atom, DFT total energy -6.608 eV per atom.